(1)
18
Lattice="0.000 -4.021 -4.073 0.000 -4.021 4.073 -8.133 0.000 0.000" Properties=species:S:1:pos:R:3 comment="PBE NdEuHf4O12, optimized geometry" crystal_system=orthorhombic pbc="T T T"
Nd -4.066 -4.021 3.815
Eu 0.000 -4.021 0.127
Hf -2.023 -2.098 -2.037
Hf -6.110 -2.098 -2.037
Hf -6.110 -5.945 -2.037
Hf -2.023 -5.945 -2.037
O -1.837 -2.414 0.023
O -1.837 -5.629 0.023
O -6.296 -5.629 0.023
O -6.296 -2.414 0.023
O -1.802 -4.021 2.276
O -2.498 -4.021 -2.571
O -5.635 -4.021 -2.571
O -6.331 -4.021 2.276
O 0.000 -2.445 -1.939
O -4.066 -5.745 2.298
O 0.000 -5.598 -1.939
O -4.066 -2.297 2.298



(2)
24
Lattice="4.680 -5.669 4.680 6.449 3.823 -4.443 0.892 3.842 4.170" Properties=species:S:1:pos:R:3 comment="PBE USe2O9, optimized geometry" crystal_system=monoclinic pbc="T T T"
U 6.129 1.865 -0.596
U 5.893 0.130 5.004
Se 9.350 -0.094 3.224
Se 2.842 2.530 4.692
Se 2.672 2.090 1.184
Se 9.180 -0.534 -0.285
O 7.384 2.681 0.397
O 4.892 1.147 -1.683
O 4.638 -0.686 4.011
O 7.131 0.849 6.090
O 5.825 0.233 0.973
O 6.198 1.762 3.435
O 5.347 4.088 -1.139
O 7.405 2.296 -2.604
O 6.675 -2.093 5.546
O 4.617 -0.301 7.012
O 7.683 -0.227 3.391
O 4.394 2.046 5.118
O 4.339 2.223 1.016
O 7.628 -0.050 -0.711
O 9.743 0.381 1.629
O 1.953 0.338 0.074
O 2.279 1.615 2.779
O 10.069 1.657 4.334



(3)
10
Lattice="-1.663 0.272 3.513 -6.808 -1.370 -3.116 1.018 -7.468 1.060" Properties=species:S:1:pos:R:3 comment="PBE Y2MgPd2, optimized geometry" crystal_system=tetragonal pbc="T T T"
Y -1.309 -5.104 1.936
Y -6.144 -3.463 -0.480
Y -2.903 -1.588 0.910
Y -4.551 -6.979 0.547
Mg 0.000 0.000 0.000
Mg -2.895 -4.419 -1.028
Pd -4.162 -1.842 -1.827
Pd -1.629 -6.997 -0.229
Pd -5.275 -5.902 -2.040
Pd -0.515 -2.936 -0.017



Formation enthalpy at 0 K for every record listed, in sequence, given in eV per atom: -3.508, -1.584, -0.774.
Size of the total moment for every record listed, in sequence, given in μB per cell: 4.000, 3.156, 0.014.